No. 1
The following is a r²SCAN calculation of an optimized crystal structure of PrAl3Ag, from the Materials Project.

The structure in CIF format:
```
data_PrAl3Ag
_chemical_formula_sum 'Pr2 Al6 Ag2'
_cell_length_a 4.305
_cell_length_b 4.305
_cell_length_c 11.094
_cell_angle_alpha 90.00
_cell_angle_beta 90.00
_cell_angle_gamma 90.00
_space_group_name_H-M_alt 'I 4 m m'
_space_group_IT_number 107
_space_group_name_Hall 'I 4 -2'
loop_
_atom_site_label
_atom_site_fract_x
_atom_site_fract_y
_atom_site_fract_z
Pr1 0.000 0.000 0.000
Al1 0.000 0.000 0.594
Al2 0.000 0.500 0.239
Ag1 0.000 0.000 0.367
```

Summary:
DFT formation energy (eV per atom): -0.457
Total moment (μB per formula unit): 0.0

No. 2
The following is a r²SCAN calculation of an optimized crystal structure of NdTlZn, from the Materials Project.

The structure in CIF format:
```
data_NdTlZn
_chemical_formula_sum 'Nd2 Tl2 Zn2'
_cell_length_a 4.7102
_cell_length_b 4.7102
_cell_length_c 7.7094
_cell_angle_alpha 90.00
_cell_angle_beta 90.00
_cell_angle_gamma 120.00
_space_group_name_H-M_alt 'P 63/m m c'
_space_group_IT_number 194
_space_group_name_Hall '-P 6c 2c'
loop_
_atom_site_label
_atom_site_fract_x
_atom_site_fract_y
_atom_site_fract_z
Nd1 0.0000 0.0000 0.0000
Tl1 0.3333 0.6667 0.2500
Zn1 0.3333 0.6667 0.7500
```

Summary:
DFT formation energy (eV per atom): -0.438
Total moment (μB per formula unit): 0.1

No. 3
The following is a r²SCAN calculation of an optimized crystal structure of EuCO3, from the Materials Project.

The structure in CIF format:
```
data_EuCO3
_chemical_formula_sum 'Eu4 C4 O12'
_cell_length_a 5.944
_cell_length_b 5.110
_cell_length_c 8.415
_cell_angle_alpha 90.00
_cell_angle_beta 90.00
_cell_angle_gamma 90.00
_space_group_name_H-M_alt 'P n m a'
_space_group_IT_number 62
loop_
_space_group_symop_operation_xyz
'x,y,z'
'-x,-y,-z'
'-x+1/2,-y,z+1/2'
'x+1/2,y,-z+1/2'
'x+1/2,-y+1/2,-z+1/2'
'-x+1/2,y+1/2,z+1/2'
'-x,y+1/2,-z'
'x,-y+1/2,z'
loop_
_atom_site_label
_atom_site_fract_x
_atom_site_fract_y
_atom_site_fract_z
Eu1 0.244 0.250 0.084
C1 0.086 0.250 0.741
O1 0.087 0.031 0.818
O2 0.097 0.250 0.588
```

Summary:
DFT formation energy (eV per atom): -2.386
Total moment (μB per formula unit): 7.0

No. 4
The following is a r²SCAN calculation of an optimized crystal structure of AcVO3, from the Materials Project.

The structure in CIF format:
```
data_AcVO3
_chemical_formula_sum 'Ac1 V1 O3'
_cell_length_a 3.968
_cell_length_b 3.968
_cell_length_c 3.968
_cell_angle_alpha 90.00
_cell_angle_beta 90.00
_cell_angle_gamma 90.00
_space_group_name_H-M_alt 'P m -3 m'
_space_group_IT_number 221
_space_group_name_Hall '-P 4 2 3'
loop_
_atom_site_label
_atom_site_fract_x
_atom_site_fract_y
_atom_site_fract_z
Ac1 0.000 0.000 0.000
V1 0.500 0.500 0.500
O1 0.000 0.500 0.500
```

Summary:
DFT formation energy (eV per atom): -3.271
Total moment (μB per formula unit): 2.0

No. 5
The following is a r²SCAN calculation of an optimized crystal structure of DyGe2Pd2, from the Materials Project.

The structure in CIF format:
```
data_DyGe2Pd2
_chemical_formula_sum 'Dy2 Ge4 Pd4'
_cell_length_a 4.225
_cell_length_b 4.225
_cell_length_c 10.151
_cell_angle_alpha 90.00
_cell_angle_beta 90.00
_cell_angle_gamma 90.00
_space_group_name_H-M_alt 'I 4/m m m'
_space_group_IT_number 139
_space_group_name_Hall '-I 4 2'
loop_
_atom_site_label
_atom_site_fract_x
_atom_site_fract_y
_atom_site_fract_z
Dy1 0.000 0.000 0.000
Ge1 0.000 0.000 0.381
Pd1 0.000 0.500 0.250
```

Summary:
DFT formation energy (eV per atom): -0.834
Total moment (μB per formula unit): 0.0

No. 6
The following is a r²SCAN calculation of an optimized crystal structure of Sm3Si2S8Br, from the Materials Project.

The structure in CIF format:
```
data_Sm3Si2S8Br
_chemical_formula_sum 'Sm12 Si8 S32 Br4'
_cell_length_a 15.672
_cell_length_b 7.624
_cell_length_c 10.856
_cell_angle_alpha 90.00
_cell_angle_beta 98.40
_cell_angle_gamma 90.00
_space_group_name_H-M_alt 'C 1 2/c 1'
_space_group_IT_number 15
loop_
_space_group_symop_operation_xyz
'x,y,z'
'-x,-y,-z'
'-x,y,-z+1/2'
'x,-y,z+1/2'
'x+1/2,y+1/2,z'
'-x+1/2,-y+1/2,-z'
'-x+1/2,y+1/2,-z+1/2'
'x+1/2,-y+1/2,z+1/2'
loop_
_atom_site_label
_atom_site_fract_x
_atom_site_fract_y
_atom_site_fract_z
Sm1 0.000 0.118 0.250
Sm2 0.198 0.377 0.683
Si1 0.159 0.035 0.027
S1 0.067 0.162 0.542
S2 0.144 0.251 0.143
S3 0.147 0.095 0.836
S4 0.216 0.431 0.414
Br1 0.000 0.492 0.750
```

Summary:
DFT formation energy (eV per atom): -1.698
Total moment (μB per formula unit): 0.0

No. 7
The following is a r²SCAN calculation of an optimized crystal structure of ZrCr2, from the Materials Project.

The structure in CIF format:
```
data_ZrCr2
_chemical_formula_sum 'Zr4 Cr8'
_cell_length_a 5.0771
_cell_length_b 5.0771
_cell_length_c 8.0570
_cell_angle_alpha 90.00
_cell_angle_beta 90.00
_cell_angle_gamma 120.00
_space_group_name_H-M_alt 'P 63/m m c'
_space_group_IT_number 194
_space_group_name_Hall '-P 6c 2c'
loop_
_atom_site_label
_atom_site_fract_x
_atom_site_fract_y
_atom_site_fract_z
Zr1 0.3333 0.6667 0.0599
Cr1 0.0000 0.0000 0.0000
Cr2 0.1674 0.3349 0.7500
```

Summary:
DFT formation energy (eV per atom): 0.188
Total moment (μB per formula unit): 0.0

No. 8
The following is a r²SCAN calculation of an optimized crystal structure of Ce3Si2, from the Materials Project.

The structure in CIF format:
```
data_Ce3Si2
_chemical_formula_sum 'Ce12 Si8'
_cell_length_a 11.019
_cell_length_b 11.048
_cell_length_c 4.253
_cell_angle_alpha 90.00
_cell_angle_beta 90.00
_cell_angle_gamma 90.00
_space_group_name_H-M_alt 'C m m m'
_space_group_IT_number 65
_space_group_name_Hall '-C 2 2'
loop_
_atom_site_label
_atom_site_fract_x
_atom_site_fract_y
_atom_site_fract_z
Ce1 0.000 0.179 0.000
Ce2 0.178 0.500 0.000
Ce3 0.250 0.250 0.500
Si1 0.000 0.390 0.500
Si2 0.111 0.000 0.500
```

Summary:
DFT formation energy (eV per atom): -0.649
Total moment (μB per formula unit): 4.3